Material: Tl2ZnP4H8O16
Method: DFT, PBE
State: relaxed

Cell lengths 7.0641, 7.3906, 7.7921 Å; angles 97.87, 108.97, 88.77 degrees
With the nearest neighbours (Å) after each atom.
Sites, in units of the cell vectors:
Tl  0.9152  0.2906  0.7984  3 O 2.88-3.00
Tl  0.0848  0.7094  0.2016  3 O 2.88-3.00
Zn  0.5000  0.5000  0.0000  6 O 2.11-2.16
P  0.6385  0.7398  0.7241  4 O 1.52-1.62
P  0.3615  0.2602  0.2759  4 O 1.52-1.62
P  0.2281  0.7885  0.7393  4 O 1.51-1.63
P  0.7719  0.2115  0.2607  4 O 1.51-1.63
H  0.7383  0.9716  0.9524  1 O 1.04
H  0.2617  0.0284  0.0476  1 O 1.04
H  0.4007  0.2881  0.6696  1 O 0.99
H  0.5993  0.7119  0.3304  1 O 0.99
H  0.9040  0.7366  0.5675  1 O 1.05
H  0.0960  0.2634  0.4325  1 O 1.05
H  0.3846  0.1578  0.8131  1 O 1.00
H  0.6154  0.8422  0.1869  1 O 1.00
O  0.4550  0.2677  0.7999  2 H 0.99-1.00
O  0.5450  0.7323  0.2001  2 H 0.99-1.00
O  0.6760  0.6060  0.8630  1 P 1.52
O  0.3240  0.3940  0.1370  1 P 1.52
O  0.7420  0.9307  0.8206  1 H 1.04
O  0.2580  0.0693  0.1794  1 H 1.04
O  0.7038  0.6820  0.5581  1 H 1.46, 1 P 1.52
O  0.2962  0.3180  0.4419  1 H 1.46, 1 P 1.52
O  0.4011  0.7729  0.6414  2 P 1.62-1.63
O  0.5989  0.2271  0.3586  2 P 1.62-1.63
O  0.2346  0.6283  0.8430  1 P 1.51
O  0.7654  0.3717  0.1570  1 P 1.51
O  0.0419  0.7770  0.5597  1 H 1.05
O  0.9581  0.2230  0.4403  1 H 1.05
O  0.2535  0.9779  0.8516  1 H 1.50, 1 P 1.53
O  0.7465  0.0221  0.1484  1 H 1.50, 1 P 1.53

MP2020-corrected energy in hartree per atom: -0.2313
Symmetry: P-1, No. 2
Energy of formation from the pure elements in meV/atom: -1972

Material: UP3HO11
Method: DFT, PBE
State: relaxed

Cell lengths 8.7848, 9.9246, 21.0315 Å; angles 85.86, 90.00, 90.00 degrees
With the nearest neighbours (Å) after each atom.
Sites, in units of the cell vectors:
U  0.3808  0.3026  0.0972  2 O 1.79-1.83
U  0.8808  0.6974  0.4028  2 O 1.79-1.83
U  0.6192  0.6974  0.9028  2 O 1.79-1.83
U  0.1192  0.3026  0.5972  2 O 1.79-1.83
U  0.3834  0.7898  0.6435  2 O 1.79-1.82
U  0.8834  0.2102  0.8565  2 O 1.79-1.82
U  0.6166  0.2102  0.3565  2 O 1.79-1.82
U  0.1166  0.7898  0.1435  2 O 1.79-1.82
P  0.2504  0.1389  0.9469  4 O 1.49-1.62
P  0.7504  0.8611  0.5531  4 O 1.49-1.62
P  0.7496  0.8611  0.0531  4 O 1.49-1.62
P  0.2496  0.1389  0.4469  4 O 1.49-1.62
P  0.4550  0.2083  0.8337  4 O 1.48-1.59
P  0.9550  0.7917  0.6663  4 O 1.48-1.59
P  0.5450  0.7917  0.1663  4 O 1.48-1.59
P  0.0450  0.2083  0.3337  4 O 1.48-1.59
P  0.2805  0.6207  0.8097  4 O 1.49-1.62
P  0.7805  0.3793  0.6903  4 O 1.49-1.62
P  0.7195  0.3793  0.1903  4 O 1.49-1.62
P  0.2195  0.6207  0.3097  4 O 1.49-1.62
P  0.2095  0.3521  0.7650  4 O 1.50-1.63
P  0.7095  0.6479  0.7350  4 O 1.50-1.63
P  0.7905  0.6479  0.2350  4 O 1.50-1.63
P  0.2905  0.3521  0.2650  4 O 1.50-1.63
P  0.0491  0.7046  0.9011  4 O 1.48-1.60
P  0.5491  0.2954  0.5989  4 O 1.48-1.60
P  0.9509  0.2954  0.0989  4 O 1.48-1.60
P  0.4509  0.7046  0.4011  4 O 1.48-1.60
P  0.2783  0.8480  0.9792  4 O 1.49-1.63
P  0.7783  0.1520  0.5208  4 O 1.49-1.63
P  0.7217  0.1520  0.0208  4 O 1.49-1.63
P  0.2217  0.8480  0.4792  4 O 1.49-1.63
H  0.4874  0.9893  0.8242  1 O 1.01
H  0.9874  0.0107  0.6758  1 O 1.01
H  0.5126  0.0107  0.1758  1 O 1.01
H  0.0126  0.9893  0.3242  1 O 1.01
H  0.0152  0.4895  0.9247  1 O 1.01
H  0.5152  0.5105  0.5753  1 O 1.01
H  0.9848  0.5105  0.0753  1 O 1.01
H  0.4848  0.4895  0.4247  1 O 1.01
O  0.2661  0.8710  0.5462  1 P 1.50
O  0.7661  0.1290  0.9538  1 P 1.50
O  0.7339  0.1290  0.4538  1 P 1.50
O  0.2339  0.8710  0.0462  1 P 1.50
O  0.1589  0.4592  0.5530  1 U 1.79
O  0.6589  0.5408  0.9470  1 U 1.79
O  0.8411  0.5408  0.4470  1 U 1.79
O  0.3411  0.4592  0.0530  1 U 1.79
O  0.3535  0.2255  0.8953  2 P 1.59-1.61
O  0.8535  0.7745  0.6047  2 P 1.59-1.61
O  0.6465  0.7745  0.1047  2 P 1.59-1.61
O  0.1465  0.2255  0.3953  2 P 1.59-1.61
O  0.0754  0.1437  0.6431  1 H 1.64, 1 U 1.83
O  0.5754  0.8563  0.8569  1 H 1.64, 1 U 1.83
O  0.9246  0.8563  0.3569  1 H 1.64, 1 U 1.83
O  0.4246  0.1437  0.1431  1 H 1.64, 1 U 1.83
O  0.4023  0.5939  0.8591  1 P 1.50
O  0.9023  0.4061  0.6409  1 P 1.50
O  0.5977  0.4061  0.1409  1 P 1.50
O  0.0977  0.5939  0.3591  1 P 1.50
O  0.3885  0.2611  0.6143  1 P 1.48
O  0.8885  0.7389  0.8857  1 P 1.48
O  0.6115  0.7389  0.3857  1 P 1.48
O  0.1115  0.2611  0.1143  1 P 1.48
O  0.1840  0.4839  0.8040  2 P 1.61
O  0.6840  0.5161  0.6960  2 P 1.61
O  0.8160  0.5161  0.1960  2 P 1.61
O  0.3160  0.4839  0.3040  2 P 1.61
O  0.3871  0.3150  0.7811  2 P 1.59-1.63
O  0.8871  0.6850  0.7189  2 P 1.59-1.63
O  0.6129  0.6850  0.2189  2 P 1.59-1.63
O  0.1129  0.3150  0.2811  2 P 1.59-1.63
O  0.4106  0.6249  0.6121  1 H 1.69, 1 U 1.82
O  0.9106  0.3751  0.8879  1 H 1.69, 1 U 1.82
O  0.5894  0.3751  0.3879  1 H 1.69, 1 U 1.82
O  0.0894  0.6249  0.1121  1 H 1.69, 1 U 1.82
O  0.1116  0.2422  0.7956  1 P 1.50
O  0.6116  0.7578  0.7044  1 P 1.50
O  0.8884  0.7578  0.2044  1 P 1.50
O  0.3884  0.2422  0.2956  1 P 1.50
O  0.3249  0.9907  0.9426  2 P 1.61-1.62
O  0.8249  0.0093  0.5574  2 P 1.61-1.62
O  0.6751  0.0093  0.0574  2 P 1.61-1.62
O  0.1751  0.9907  0.4426  2 P 1.61-1.62
O  0.3627  0.9536  0.6732  1 U 1.79
O  0.8627  0.0464  0.8268  1 U 1.79
O  0.6373  0.0464  0.3268  1 U 1.79
O  0.1373  0.9536  0.1732  1 U 1.79
O  0.4231  0.0691  0.8078  1 H 1.01
O  0.9231  0.9309  0.6922  1 H 1.01
O  0.5769  0.9309  0.1922  1 H 1.01
O  0.0769  0.0691  0.3078  1 H 1.01
O  0.1151  0.7553  0.6529  1 P 1.48
O  0.6151  0.2447  0.8471  1 P 1.48
O  0.8849  0.2447  0.3471  1 P 1.48
O  0.3849  0.7553  0.1529  1 P 1.48
O  0.0888  0.1362  0.9243  1 P 1.50
O  0.5888  0.8638  0.5757  1 P 1.50
O  0.9112  0.8638  0.0757  1 P 1.50
O  0.4112  0.1362  0.4243  1 P 1.50
O  0.2165  0.1907  0.5103  1 P 1.49
O  0.7165  0.8093  0.9897  1 P 1.49
O  0.7835  0.8093  0.4897  1 P 1.49
O  0.2835  0.1907  0.0103  1 P 1.49
O  0.0804  0.5662  0.9385  1 H 1.01
O  0.5804  0.4338  0.5615  1 H 1.01
O  0.9196  0.4338  0.0615  1 H 1.01
O  0.4196  0.5662  0.4385  1 H 1.01
O  0.1214  0.8142  0.9425  2 P 1.58-1.63
O  0.6214  0.1858  0.5575  2 P 1.58-1.63
O  0.8786  0.1858  0.0575  2 P 1.58-1.63
O  0.3786  0.8142  0.4425  2 P 1.58-1.63
O  0.1478  0.7144  0.8369  2 P 1.60-1.62
O  0.6478  0.2856  0.6631  2 P 1.60-1.62
O  0.8522  0.2856  0.1631  2 P 1.60-1.62
O  0.3522  0.7144  0.3369  2 P 1.60-1.62
O  0.1990  0.3908  0.6951  1 P 1.50
O  0.6990  0.6092  0.8049  1 P 1.50
O  0.8010  0.6092  0.3049  1 P 1.50
O  0.3010  0.3908  0.1951  1 P 1.50
O  0.3240  0.6818  0.7455  1 P 1.49
O  0.8240  0.3182  0.7545  1 P 1.49
O  0.6760  0.3182  0.2545  1 P 1.49
O  0.1760  0.6818  0.2455  1 P 1.49
O  0.4005  0.7493  0.9658  1 P 1.49
O  0.9005  0.2507  0.5342  1 P 1.49
O  0.5995  0.2507  0.0342  1 P 1.49
O  0.0995  0.7493  0.4658  1 P 1.49

MP2020-corrected energy in hartree per atom: -0.2967
Symmetry: P2_1/c, No. 14
Energy of formation from the pure elements in meV/atom: -2740

Material: UZn4P2H6O15
Method: DFT, PBE
State: relaxed

Cell lengths 6.6851, 9.0498, 19.8270 Å; angles 90.00, 90.00, 90.00 degrees
With the nearest neighbours (Å) after each atom.
Sites, in units of the cell vectors:
U  0.3532  0.0000  0.2500  2 O 1.83
U  0.1468  0.5000  0.7500  2 O 1.83
U  0.6468  0.0000  0.7500  2 O 1.83
U  0.8532  0.5000  0.2500  2 O 1.83
Zn  0.6380  0.0468  0.4197  5 O 2.03-2.21
Zn  0.8620  0.4532  0.9197  5 O 2.03-2.21
Zn  0.8620  0.5468  0.5803  5 O 2.03-2.21
Zn  0.6380  0.9532  0.0803  5 O 2.03-2.21
Zn  0.3620  0.9532  0.5803  5 O 2.03-2.21
Zn  0.1380  0.5468  0.0803  5 O 2.03-2.21
Zn  0.1380  0.4532  0.4197  5 O 2.03-2.21
Zn  0.3620  0.0468  0.9197  5 O 2.03-2.21
Zn  0.9106  0.7719  0.4460  4 O 1.93-2.11
Zn  0.5894  0.7281  0.9460  4 O 1.93-2.11
Zn  0.5894  0.2719  0.5540  4 O 1.93-2.11
Zn  0.9106  0.2281  0.0540  4 O 1.93-2.11
Zn  0.0894  0.2281  0.5540  4 O 1.93-2.11
Zn  0.4106  0.2719  0.0540  4 O 1.93-2.11
Zn  0.4106  0.7281  0.4460  4 O 1.93-2.11
Zn  0.0894  0.7719  0.9460  4 O 1.93-2.11
P  0.8408  0.9150  0.5815  4 O 1.54-1.58
P  0.6592  0.5850  0.0815  4 O 1.54-1.58
P  0.6592  0.4150  0.4185  4 O 1.54-1.58
P  0.8408  0.0850  0.9185  4 O 1.54-1.58
P  0.1592  0.0850  0.4185  4 O 1.54-1.58
P  0.3408  0.4150  0.9185  4 O 1.54-1.58
P  0.3408  0.5850  0.5815  4 O 1.54-1.58
P  0.1592  0.9150  0.0815  4 O 1.54-1.58
H  0.6406  0.1892  0.3158  1 O 0.99
H  0.8594  0.3108  0.8158  1 O 0.99
H  0.8594  0.6892  0.6842  1 O 0.99
H  0.6406  0.8108  0.1842  1 O 0.99
H  0.3594  0.8108  0.6842  1 O 0.99
H  0.1406  0.6892  0.1842  1 O 0.99
H  0.1406  0.3108  0.3158  1 O 0.99
H  0.3594  0.1892  0.8158  1 O 0.99
H  0.1507  0.7066  0.3580  1 O 0.98
H  0.3493  0.7934  0.8580  1 O 0.98
H  0.3493  0.2066  0.6420  1 O 0.98
H  0.1507  0.2934  0.1420  1 O 0.98
H  0.8493  0.2934  0.6420  1 O 0.98
H  0.6507  0.2066  0.1420  1 O 0.98
H  0.6507  0.7934  0.3580  1 O 0.98
H  0.8493  0.7066  0.8580  1 O 0.98
H  0.8872  0.9646  0.2144  1 O 0.98
H  0.6128  0.5354  0.7144  1 O 0.98
H  0.6128  0.4646  0.7856  1 O 0.98
H  0.8872  0.0354  0.2856  1 O 0.98
H  0.1128  0.0354  0.7856  1 O 0.98
H  0.3872  0.4646  0.2856  1 O 0.98
H  0.3872  0.5354  0.2144  1 O 0.98
H  0.1128  0.9646  0.7144  1 O 0.98
O  0.8683  0.7612  0.5445  1 P 1.58
O  0.6317  0.7388  0.0445  1 P 1.58
O  0.6317  0.2612  0.4555  1 P 1.58
O  0.8683  0.2388  0.9555  1 P 1.58
O  0.1317  0.2388  0.4555  1 P 1.58
O  0.3683  0.2612  0.9555  1 P 1.58
O  0.3683  0.7388  0.5445  1 P 1.58
O  0.1317  0.7612  0.0445  1 P 1.58
O  0.6653  0.0002  0.5471  1 P 1.56
O  0.8347  0.4998  0.0471  1 P 1.56
O  0.8347  0.5002  0.4529  1 P 1.56
O  0.6653  0.9998  0.9529  1 P 1.56
O  0.3347  0.9998  0.4529  1 P 1.56
O  0.1653  0.5002  0.9529  1 P 1.56
O  0.1653  0.4998  0.5471  1 P 1.56
O  0.3347  0.0002  0.0471  1 P 1.56
O  0.0392  0.0028  0.5745  1 P 1.55
O  0.4608  0.4972  0.0745  1 P 1.55
O  0.4608  0.5028  0.4255  1 P 1.55
O  0.0392  0.9972  0.9255  1 P 1.55
O  0.9608  0.9972  0.4255  1 P 1.55
O  0.5392  0.5028  0.9255  1 P 1.55
O  0.5392  0.4972  0.5745  1 P 1.55
O  0.9608  0.0028  0.0745  1 P 1.55
O  0.6212  0.0811  0.3187  1 H 0.99
O  0.8788  0.4189  0.8187  1 H 0.99
O  0.8788  0.5811  0.6813  1 H 0.99
O  0.6212  0.9189  0.1813  1 H 0.99
O  0.3788  0.9189  0.6813  1 H 0.99
O  0.1212  0.5811  0.1813  1 H 0.99
O  0.1212  0.4189  0.3187  1 H 0.99
O  0.3788  0.0811  0.8187  1 H 0.99
O  0.3582  0.8238  0.2951  1 U 1.83
O  0.1418  0.6762  0.7951  1 U 1.83
O  0.1418  0.3238  0.7049  1 U 1.83
O  0.3582  0.1762  0.2049  1 U 1.83
O  0.6418  0.1762  0.7049  1 U 1.83
O  0.8582  0.3238  0.2049  1 U 1.83
O  0.8582  0.6762  0.2951  1 U 1.83
O  0.6418  0.8238  0.7951  1 U 1.83
O  0.1467  0.6846  0.4064  1 H 0.98
O  0.3533  0.8154  0.9064  1 H 0.98
O  0.3533  0.1846  0.5936  1 H 0.98
O  0.1467  0.3154  0.0936  1 H 0.98
O  0.8533  0.3154  0.5936  1 H 0.98
O  0.6467  0.1846  0.0936  1 H 0.98
O  0.6467  0.8154  0.4064  1 H 0.98
O  0.8533  0.6846  0.9064  1 H 0.98
O  0.7936  0.8804  0.6559  1 P 1.54
O  0.7064  0.6196  0.1559  1 P 1.54
O  0.7064  0.3804  0.3441  1 P 1.54
O  0.7936  0.1196  0.8441  1 P 1.54
O  0.2064  0.1196  0.3441  1 P 1.54
O  0.2936  0.3804  0.8441  1 P 1.54
O  0.2936  0.6196  0.6559  1 P 1.54
O  0.2064  0.8804  0.1559  1 P 1.54
O  0.9783  0.0000  0.2500  2 H 0.98
O  0.5217  0.5000  0.7500  2 H 0.98
O  0.0217  0.0000  0.7500  2 H 0.98
O  0.4783  0.5000  0.2500  2 H 0.98

MP2020-corrected energy in hartree per atom: -0.2383
Symmetry: Pbcn, No. 60
Energy of formation from the pure elements in meV/atom: -2138